Below is a relaxed structure of CuO, with properties calculated at the PBE level.

Computed properties:
E (MP2020) in eV/atom: -5.314
Total energy in eV/atom: -4.97
E_form in eV per atom: -0.7900

a = 2.8300 Å, b = 6.4615 Å, c = 12.3315 Å
α = 90.00°, β = 90.00°, γ = 90.00°
Closest atoms and distances in Å follow each position.
Element x y z (fractional)
1 Cu 0.2500 0.1076 0.2542  2 O 1.82
2 Cu 0.7500 0.3924 0.7542  2 O 1.82
3 Cu 0.2500 0.6076 0.2458  2 O 1.82
4 Cu 0.7500 0.8924 0.7458  2 O 1.82
5 Cu 0.2500 0.1512 0.5985  4 O 1.88-1.90
6 Cu 0.7500 0.3488 0.0985  4 O 1.88-1.90
7 Cu 0.2500 0.6512 0.9015  4 O 1.88-1.90
8 Cu 0.7500 0.8488 0.4015  4 O 1.88-1.90
9 O 0.2500 0.1582 0.1093  3 Cu 1.82-1.88
10 O 0.2500 0.0439 0.3983  3 Cu 1.82-1.90
11 O 0.7500 0.4561 0.8983  3 Cu 1.82-1.90
12 O 0.7500 0.3418 0.6093  3 Cu 1.82-1.88
13 O 0.2500 0.6582 0.3907  3 Cu 1.82-1.88
14 O 0.2500 0.5439 0.1017  3 Cu 1.82-1.90
15 O 0.7500 0.9561 0.6017  3 Cu 1.82-1.90
16 O 0.7500 0.8418 0.8907  3 Cu 1.82-1.88



Below is a relaxed structure of Na3ErBr6, with properties calculated at the PBE level.

Computed properties:
E (MP2020) in eV/atom: -3.849
Total energy in eV/atom: -3.53
E_form in eV per atom: -2.0134

a = 7.7167 Å, b = 7.4000 Å, c = 13.1183 Å
α = 55.77°, β = 90.00°, γ = 90.00°
Closest atoms and distances in Å follow each position.
Element x y z (fractional)
1 Na 0.0000 0.5000 0.5000  6 Br 2.92-3.03
2 Na 0.5000 0.5000 0.0000  6 Br 2.92-3.03
3 Na 0.4408 0.2429 0.7436  4 Br 2.98-3.12
4 Na 0.5592 0.7571 0.2564  4 Br 2.98-3.12
5 Na 0.9408 0.7571 0.7564  4 Br 2.98-3.12
6 Na 0.0592 0.2429 0.2436  4 Br 2.98-3.12
7 Er 0.0000 0.0000 0.0000  6 Br 2.77-2.81
8 Er 0.5000 0.0000 0.5000  6 Br 2.77-2.81
9 Br 0.6967 0.9059 0.9227  1 Er 2.79, 2 Na 2.99-3.01
10 Br 0.3033 0.0941 0.0773  1 Er 2.79, 2 Na 2.99-3.01
11 Br 0.1967 0.0941 0.5773  1 Er 2.79, 2 Na 2.99-3.01
12 Br 0.8033 0.9059 0.4227  1 Er 2.79, 2 Na 2.99-3.01
13 Br 0.0624 0.3702 0.7609  1 Er 2.81, 3 Na 2.98-3.12
14 Br 0.9376 0.6298 0.2391  1 Er 2.81, 3 Na 2.98-3.12
15 Br 0.5624 0.6298 0.7391  1 Er 2.81, 3 Na 2.98-3.12
16 Br 0.4376 0.3702 0.2609  1 Er 2.81, 3 Na 2.98-3.12
17 Br 0.1790 0.7510 0.9373  1 Er 2.77, 2 Na 2.92-2.98
18 Br 0.8210 0.2490 0.0627  1 Er 2.77, 2 Na 2.92-2.98
19 Br 0.6790 0.2490 0.5627  1 Er 2.77, 2 Na 2.92-2.98
20 Br 0.3210 0.7510 0.4373  1 Er 2.77, 2 Na 2.92-2.98



Below is a relaxed structure of Cs2EuAuCl6, with properties calculated at the PBE level.

Computed properties:
E (MP2020) in eV/atom: -4.605
Total energy in eV/atom: -4.24
E_form in eV per atom: -1.9633

a = 7.7126 Å, b = 7.7126 Å, c = 7.7126 Å
α = 60.00°, β = 60.00°, γ = 60.00°
Closest atoms and distances in Å follow each position.
Element x y z (fractional)
1 Cs 0.2500 0.2500 0.2500  12 Cl 3.86
2 Cs 0.7500 0.7500 0.7500  12 Cl 3.86
3 Eu 0.0000 0.0000 0.0000  6 Cl 2.76
4 Au 0.5000 0.5000 0.5000  6 Cl 2.70
5 Cl 0.2528 0.7472 0.2528  1 Au 2.70, 1 Eu 2.76
6 Cl 0.7472 0.7472 0.2528  1 Au 2.70, 1 Eu 2.76
7 Cl 0.7472 0.2528 0.7472  1 Au 2.70, 1 Eu 2.76
8 Cl 0.7472 0.2528 0.2528  1 Au 2.70, 1 Eu 2.76
9 Cl 0.2528 0.7472 0.7472  1 Au 2.70, 1 Eu 2.76
10 Cl 0.2528 0.2528 0.7472  1 Au 2.70, 1 Eu 2.76



Below is a relaxed structure of Zr3FeCu2S8, with properties calculated at the PBE level.

Computed properties:
E (MP2020) in eV/atom: -6.705
Total energy in eV/atom: -6.42
E_form in eV per atom: -1.3190

a = 7.1895 Å, b = 7.1895 Å, c = 7.1895 Å
α = 61.15°, β = 61.15°, γ = 61.15°
Closest atoms and distances in Å follow each position.
Element x y z (fractional)
1 Zr 0.0000 0.5000 0.5000  6 S 2.55-2.58
2 Zr 0.5000 0.5000 0.0000  6 S 2.55-2.58
3 Zr 0.5000 0.0000 0.5000  6 S 2.55-2.58
4 Fe 0.5000 0.5000 0.5000  6 S 2.41
5 Cu 0.1213 0.1213 0.1213  4 S 2.26-2.30
6 Cu 0.8787 0.8787 0.8787  4 S 2.26-2.30
7 S 0.7491 0.7491 0.7491  1 Cu 2.26
8 S 0.2632 0.7348 0.7348  1 Cu 2.30, 1 Fe 2.41, 2 Zr 2.58
9 S 0.7348 0.7348 0.2632  1 Cu 2.30, 1 Fe 2.41, 2 Zr 2.58
10 S 0.7348 0.2632 0.7348  1 Cu 2.30, 1 Fe 2.41, 2 Zr 2.58
11 S 0.2509 0.2509 0.2509  1 Cu 2.26
12 S 0.7368 0.2652 0.2652  1 Cu 2.30, 1 Fe 2.41, 2 Zr 2.58
13 S 0.2652 0.2652 0.7368  1 Cu 2.30, 1 Fe 2.41, 2 Zr 2.58
14 S 0.2652 0.7368 0.2652  1 Cu 2.30, 1 Fe 2.41, 2 Zr 2.58



Copy entry 4 word for word.
Below is a relaxed structure of Zr3FeCu2S8, with properties calculated at the PBE level.

Computed properties:
E (MP2020) in eV/atom: -6.705
Total energy in eV/atom: -6.42
E_form in eV per atom: -1.3190

a = 7.1895 Å, b = 7.1895 Å, c = 7.1895 Å
α = 61.15°, β = 61.15°, γ = 61.15°
Closest atoms and distances in Å follow each position.
Element x y z (fractional)
1 Zr 0.0000 0.5000 0.5000  6 S 2.55-2.58
2 Zr 0.5000 0.5000 0.0000  6 S 2.55-2.58
3 Zr 0.5000 0.0000 0.5000  6 S 2.55-2.58
4 Fe 0.5000 0.5000 0.5000  6 S 2.41
5 Cu 0.1213 0.1213 0.1213  4 S 2.26-2.30
6 Cu 0.8787 0.8787 0.8787  4 S 2.26-2.30
7 S 0.7491 0.7491 0.7491  1 Cu 2.26
8 S 0.2632 0.7348 0.7348  1 Cu 2.30, 1 Fe 2.41, 2 Zr 2.58
9 S 0.7348 0.7348 0.2632  1 Cu 2.30, 1 Fe 2.41, 2 Zr 2.58
10 S 0.7348 0.2632 0.7348  1 Cu 2.30, 1 Fe 2.41, 2 Zr 2.58
11 S 0.2509 0.2509 0.2509  1 Cu 2.26
12 S 0.7368 0.2652 0.2652  1 Cu 2.30, 1 Fe 2.41, 2 Zr 2.58
13 S 0.2652 0.2652 0.7368  1 Cu 2.30, 1 Fe 2.41, 2 Zr 2.58
14 S 0.2652 0.7368 0.2652  1 Cu 2.30, 1 Fe 2.41, 2 Zr 2.58



Copy entry 3 word for word.
Below is a relaxed structure of Cs2EuAuCl6, with properties calculated at the PBE level.

Computed properties:
E (MP2020) in eV/atom: -4.605
Total energy in eV/atom: -4.24
E_form in eV per atom: -1.9633

a = 7.7126 Å, b = 7.7126 Å, c = 7.7126 Å
α = 60.00°, β = 60.00°, γ = 60.00°
Closest atoms and distances in Å follow each position.
Element x y z (fractional)
1 Cs 0.2500 0.2500 0.2500  12 Cl 3.86
2 Cs 0.7500 0.7500 0.7500  12 Cl 3.86
3 Eu 0.0000 0.0000 0.0000  6 Cl 2.76
4 Au 0.5000 0.5000 0.5000  6 Cl 2.70
5 Cl 0.2528 0.7472 0.2528  1 Au 2.70, 1 Eu 2.76
6 Cl 0.7472 0.7472 0.2528  1 Au 2.70, 1 Eu 2.76
7 Cl 0.7472 0.2528 0.7472  1 Au 2.70, 1 Eu 2.76
8 Cl 0.7472 0.2528 0.2528  1 Au 2.70, 1 Eu 2.76
9 Cl 0.2528 0.7472 0.7472  1 Au 2.70, 1 Eu 2.76
10 Cl 0.2528 0.2528 0.7472  1 Au 2.70, 1 Eu 2.76



Look up the E (MP2020) of the third one. -4.605 eV/atom



The highest E (MP2020) belongs to which entry? Na3ErBr6